The following is a DFT calculation (PBE) of an optimized crystal structure of Na3TaZnSiP2O12.

Output
MP2020-corrected energy: -7.350 eV per atom
Formation enthalpy at 0 K: -54.30 eV/f.u.
Total moment: 0.00 μB per formula unit
Density: 3.8 g cm⁻³

Lattice parameters (Å, degrees): 15.7198 9.0115 22.1330 90.00 90.42 90.00
With the nearest neighbours (Å) after each atom.
Space group Cc (No. 9)
Inequivalent atoms, fractional coordinates:
Na  0.0000  0.0061  0.0000 [4 per cell]  3 O 2.33-2.49
Na  0.0060  0.3085  0.5802 [4 per cell]  4 O 2.28-2.48
Na  0.0081  0.3565  0.2445 [4 per cell]  4 O 2.30-2.53
Na  0.1612  0.4925  0.6663 [4 per cell]  3 O 2.30-2.49
Na  0.1748  0.1408  0.4082 [4 per cell]  4 O 2.34-2.45
Na  0.3089  0.3264  0.2490 [4 per cell]  4 O 2.32-2.48
Na  0.3248  0.0218  0.8336 [4 per cell]  3 O 2.35-2.45
Na  0.3407  0.3641  0.5752 [4 per cell]  4 O 2.36-2.47
Na  0.4733  0.1686  0.4136 [4 per cell]  4 O 2.29-2.54
Ta  0.1646  0.4940  0.0089 [4 per cell]  6 O 1.94-2.10
Ta  0.3307  0.0012  0.1755 [4 per cell]  6 O 1.93-2.07
Ta  0.4954  0.4970  0.3421 [4 per cell]  6 O 1.91-2.10
Zn  0.0016  0.0014  0.1395 [4 per cell]  4 O 1.96-2.11
Zn  0.1626  0.4902  0.8062 [4 per cell]  5 O 1.97-2.21
Zn  0.3316  0.0079  0.4736 [4 per cell]  4 O 1.98-2.14
Si  0.3096  0.3566  0.4016 [4 per cell]  4 O 1.59-1.70
Si  0.4801  0.1518  0.5700 [4 per cell]  4 O 1.60-1.73
Si  0.4987  0.2051  0.2338 [4 per cell]  4 O 1.59-1.72
P  0.0177  0.3489  0.4034 [4 per cell]  4 O 1.51-1.61
P  0.1444  0.1397  0.2384 [4 per cell]  4 O 1.50-1.60
P  0.1625  0.2062  0.9028 [4 per cell]  4 O 1.49-1.61
P  0.1845  0.1498  0.5674 [4 per cell]  4 O 1.51-1.61
P  0.3258  0.2868  0.0697 [4 per cell]  4 O 1.50-1.60
P  0.3511  0.3514  0.7349 [4 per cell]  4 O 1.51-1.61
O  0.0024  0.2011  0.6732 [4 per cell]  1 Si 1.59
O  0.0203  0.1736  0.4018 [4 per cell]  1 P 1.58
O  0.0560  0.4121  0.3460 [4 per cell]  1 P 1.52
O  0.0712  0.4452  0.0671 [4 per cell]  1 Si 1.68
O  0.0729  0.4150  0.7426 [4 per cell]  1 Si 1.60
O  0.0748  0.1144  0.9019 [4 per cell]  1 P 1.61
O  0.0786  0.3894  0.4596 [4 per cell]  1 P 1.61
O  0.0865  0.1155  0.1853 [4 per cell]  1 P 1.50
O  0.0933  0.0990  0.5739 [4 per cell]  1 P 1.51
O  0.1009  0.0780  0.2984 [4 per cell]  1 P 1.60
O  0.1485  0.3141  0.9595 [4 per cell]  1 P 1.60
O  0.1619  0.3066  0.2433 [4 per cell]  1 P 1.53
O  0.1697  0.2943  0.8461 [4 per cell]  1 P 1.49
O  0.1851  0.3283  0.5685 [4 per cell]  1 P 1.61
O  0.2228  0.0983  0.5084 [4 per cell]  1 P 1.51
O  0.2329  0.0574  0.2333 [4 per cell]  1 P 1.58
O  0.2348  0.0971  0.9120 [4 per cell]  1 P 1.52
O  0.2418  0.3840  0.0662 [4 per cell]  1 P 1.59
O  0.2453  0.1069  0.6224 [4 per cell]  1 P 1.59
O  0.2533  0.3872  0.3429 [4 per cell]  1 Si 1.59
O  0.2595  0.4290  0.4625 [4 per cell]  1 Si 1.70
O  0.2635  0.4165  0.7443 [4 per cell]  1 P 1.51
O  0.3151  0.1911  0.1300 [4 per cell]  1 P 1.60
O  0.3261  0.1794  0.4067 [4 per cell]  1 Si 1.62
O  0.3366  0.1855  0.0165 [4 per cell]  1 P 1.50
O  0.3485  0.1755  0.7339 [4 per cell]  1 P 1.59
O  0.3895  0.4100  0.6772 [4 per cell]  1 P 1.51
O  0.4002  0.3949  0.0744 [4 per cell]  1 P 1.52
O  0.4038  0.1103  0.2335 [4 per cell]  1 Si 1.72
O  0.4062  0.4392  0.3978 [4 per cell]  1 Si 1.69
O  0.4158  0.3850  0.7901 [4 per cell]  1 P 1.61
O  0.4253  0.0674  0.6281 [4 per cell]  1 Si 1.73, 1 Ta 1.93
O  0.4259  0.1236  0.5097 [4 per cell]  1 Si 1.60
O  0.4283  0.0929  0.9117 [4 per cell]  1 P 1.51
O  0.4856  0.3237  0.2931 [4 per cell]  1 Si 1.71, 1 Ta 1.91
O  0.4907  0.3266  0.5797 [4 per cell]  1 Si 1.60